1.
Material: Mg2Fe3O8
Method: DFT, PBE with a Hubbard U
State: optimized geometry

Values from the calculation:
**Electronic total energy**: -159.20 eV/cell
**Offset from the most stable computed form**: 0.0 meV per atom
**Energy of formation**: -1.8207 eV/atom

```
data_Mg2Fe3O8
_chemical_formula_sum 'Mg4 Fe6 O16'
_symmetry_space_group_name_H-M 'P 63 m c'
_symmetry_Int_Tables_number 186
_symmetry_space_group_name_Hall 'P 6c -2c'
_cell_length_a 5.9460
_cell_length_b 5.9460
_cell_length_c 9.4045
_cell_angle_alpha 90.00
_cell_angle_beta 90.00
_cell_angle_gamma 120.00
loop_
_atom_site_label
_atom_site_fract_x
_atom_site_fract_y
_atom_site_fract_z
_atom_site_occupancy
Mg1 0.3333 0.6667 0.0000 1
Mg2 0.3333 0.6667 0.3932 1
Fe1 0.1641 0.3283 0.7207 1
O1 0.0000 0.0000 0.3323 1
O2 0.0378 0.5189 0.8413 1
O3 0.1620 0.3239 0.1189 1
O4 0.3333 0.6667 0.6060 1
```

---

2.
Material: Na3CoBPO7
Method: DFT, PBE with a Hubbard U
State: optimized geometry

Values from the calculation:
**Electronic total energy**: -324.81 eV/cell
**Offset from the most stable computed form**: 28.2 meV per atom
**Energy of formation**: -2.2959 eV/atom

```
data_Na3CoBPO7
_chemical_formula_sum 'Na12 Co4 B4 P4 O28'
_symmetry_space_group_name_H-M 'P 1'
_symmetry_Int_Tables_number 1
_symmetry_space_group_name_Hall 'P 1'
_cell_length_a 6.6919
_cell_length_b 10.2162
_cell_length_c 10.4679
_cell_angle_alpha 119.06
_cell_angle_beta 90.06
_cell_angle_gamma 90.01
loop_
_atom_site_label
_atom_site_fract_x
_atom_site_fract_y
_atom_site_fract_z
_atom_site_occupancy
Na1 0.0000 0.0000 0.0000 1
Na2 0.0008 0.4992 0.4945 1
Na3 0.0036 0.9900 0.4996 1
Na4 0.0091 0.4886 0.0053 1
Na5 0.2529 0.8379 0.1701 1
Na6 0.2566 0.3364 0.6679 1
Na7 0.5000 0.4887 0.0039 1
Na8 0.5028 0.9913 0.5022 1
Na9 0.5065 0.9991 0.9973 1
Na10 0.5081 0.5010 0.4980 1
Na11 0.7525 0.6516 0.8270 1
Na12 0.7548 0.1596 0.3381 1
Co1 0.2511 0.7796 0.6951 1
Co2 0.2572 0.2786 0.1948 1
Co3 0.7537 0.7096 0.3061 1
Co4 0.7561 0.2116 0.8079 1
B1 0.2523 0.1647 0.3537 1
B2 0.2549 0.6650 0.8542 1
B3 0.7533 0.3285 0.6515 1
B4 0.7533 0.8303 0.1515 1
P1 0.2532 0.1417 0.8206 1
P2 0.2547 0.6421 0.3214 1
P3 0.7542 0.3469 0.1821 1
P4 0.7539 0.8469 0.6782 1
O1 0.0676 0.2215 0.8006 1
O2 0.0700 0.7230 0.3023 1
O3 0.2486 0.0853 0.2000 1
O4 0.2533 0.5994 0.9389 1
O5 0.2534 0.8189 0.9052 1
O6 0.2525 0.9724 0.6960 1
O7 0.2538 0.0995 0.4385 1
O8 0.2539 0.1455 0.9694 1
O9 0.2541 0.3188 0.4050 1
O10 0.2541 0.6455 0.4700 1
O11 0.2548 0.4732 0.1961 1
O12 0.2586 0.5860 0.7004 1
O13 0.4376 0.2219 0.8005 1
O14 0.4401 0.7230 0.3030 1
O15 0.5677 0.2655 0.1997 1
O16 0.5693 0.7679 0.6987 1
O17 0.7492 0.4069 0.8056 1
O18 0.7518 0.8797 0.0538 1
O19 0.7523 0.9160 0.3022 1
O20 0.7534 0.1745 0.5990 1
O21 0.7534 0.3452 0.0338 1
O22 0.7545 0.0164 0.8010 1
O23 0.7544 0.8405 0.5274 1
O24 0.7557 0.3956 0.5683 1
O25 0.7558 0.5132 0.3093 1
O26 0.7562 0.6748 0.1090 1
O27 0.9378 0.2628 0.1981 1
O28 0.9394 0.7681 0.6989 1
```

---

3.
Material: KCaNbWO6
Method: DFT, PBE with a Hubbard U
State: optimized geometry

Values from the calculation:
**Electronic total energy**: -294.46 eV/cell
**Energy of formation**: -2.6312 eV/atom

```
data_KCaNbWO6
_chemical_formula_sum 'K4 Ca4 Nb4 W4 O24'
_symmetry_space_group_name_H-M 'F -4 3 m'
_symmetry_Int_Tables_number 216
_symmetry_space_group_name_Hall 'F -4 2 3'
_cell_length_a 8.0974
_cell_length_b 8.0974
_cell_length_c 8.0974
_cell_angle_alpha 90.00
_cell_angle_beta 90.00
_cell_angle_gamma 90.00
loop_
_atom_site_label
_atom_site_fract_x
_atom_site_fract_y
_atom_site_fract_z
_atom_site_occupancy
K1 0.0000 0.0000 0.0000 1
Ca1 0.0000 0.0000 0.5000 1
Nb1 0.2500 0.2500 0.2500 1
W1 0.2500 0.2500 0.7500 1
O1 0.0011 0.2500 0.2500 1
```